The following is a PBE-GGA calculation of a relaxed Rb crystal, from the Materials Project.

Structure (extended XYZ):
```
4
Lattice="5.077 0.000 0.000 -2.539 4.397 0.000 0.000 0.000 16.472" Properties=species:S:1:pos:R:3 pbc="T T T"
Rb 0.000 0.000 0.000
Rb 0.000 0.000 8.236
Rb 0.000 2.931 4.118
Rb 2.539 1.466 12.354
```

## Properties
Relative energy among the computed polymorphs in kJ/mol of formula units: 0
E_form in eV/atom: 0.00